Record 1
This record from Materials Project describes a relaxed structure of DyIn2Pd. The functional is r²SCAN.

Properties
For the formation energy, the calculation gives -74.0 kJ per mole of atoms.

Lattice parameters (Å, degrees): 10.757 10.757 10.757 100.42 100.42 129.67
Fractional positions:
Dy  0.000  0.000  0.000
Dy  0.072  0.352  0.279
Dy  0.072  0.793  0.721
Dy  0.352  0.072  0.279
Dy  0.384  0.384  0.596
Dy  0.384  0.787  0.000
Dy  0.470  0.470  0.000
Dy  0.787  0.384  0.000
Dy  0.787  0.787  0.404
Dy  0.793  0.072  0.721
In  0.107  0.107  0.737
In  0.107  0.369  0.000
In  0.194  0.686  0.208
In  0.194  0.985  0.507
In  0.214  0.597  0.617
In  0.369  0.107  0.000
In  0.369  0.369  0.263
In  0.478  0.686  0.493
In  0.478  0.985  0.792
In  0.581  0.743  0.838
In  0.597  0.214  0.617
In  0.597  0.980  0.383
In  0.686  0.194  0.208
In  0.686  0.478  0.493
In  0.743  0.581  0.838
In  0.743  0.906  0.162
In  0.906  0.743  0.162
In  0.980  0.597  0.383
In  0.985  0.194  0.507
In  0.985  0.478  0.792
Pd  0.090  0.090  0.322
Pd  0.090  0.768  0.000
Pd  0.221  0.436  0.785
Pd  0.346  0.846  0.500
Pd  0.436  0.221  0.785
Pd  0.436  0.650  0.215
Pd  0.650  0.436  0.215
Pd  0.768  0.090  0.000
Pd  0.768  0.768  0.678
Pd  0.846  0.346  0.500

Record 2
This record from Materials Project describes a relaxed structure of DyInPt. The functional is r²SCAN.

Properties
For the formation energy, the calculation gives -110.4 kJ per mole of atoms.

Lattice parameters (Å, degrees): 7.626 7.626 3.853 90.00 90.00 120.00
Fractional positions:
Dy  0.000  0.594  0.000
Dy  0.406  0.406  0.000
Dy  0.594  0.000  0.000
In  0.000  0.261  0.500
In  0.261  0.000  0.500
In  0.739  0.739  0.500
Pt  0.000  0.000  0.000
Pt  0.333  0.667  0.500
Pt  0.667  0.333  0.500

Record 3
This record from Materials Project describes a relaxed structure of DyIn4Pt4. The functional is r²SCAN.

Properties
For the formation energy, the calculation gives -80.6 kJ per mole of atoms.

Lattice parameters (Å, degrees): 4.564 4.564 20.111 90.00 90.00 120.00
Fractional positions:
Dy  0.333  0.667  0.250
Dy  0.667  0.333  0.750
In  0.000  0.000  0.142
In  0.000  0.000  0.358
In  0.000  0.000  0.642
In  0.000  0.000  0.858
In  0.333  0.667  0.542
In  0.333  0.667  0.958
In  0.667  0.333  0.042
In  0.667  0.333  0.458
Pt  0.333  0.667  0.095
Pt  0.333  0.667  0.405
Pt  0.333  0.667  0.680
Pt  0.333  0.667  0.820
Pt  0.667  0.333  0.180
Pt  0.667  0.333  0.320
Pt  0.667  0.333  0.595
Pt  0.667  0.333  0.905

Record 4
This record from Materials Project describes a relaxed structure of Dy5In4Pt2. The functional is r²SCAN.

Properties
For the formation energy, the calculation gives -92.9 kJ per mole of atoms.

Lattice parameters (Å, degrees): 8.064 18.162 3.626 90.00 90.00 90.00
Fractional positions:
Dy  0.000  0.000  0.000
Dy  0.116  0.416  0.000
Dy  0.244  0.220  0.000
Dy  0.256  0.720  0.000
Dy  0.384  0.916  0.000
Dy  0.500  0.500  0.000
Dy  0.616  0.084  0.000
Dy  0.744  0.280  0.000
Dy  0.756  0.780  0.000
Dy  0.884  0.584  0.000
In  0.075  0.851  0.500
In  0.210  0.568  0.500
In  0.290  0.068  0.500
In  0.425  0.351  0.500
In  0.575  0.649  0.500
In  0.710  0.932  0.500
In  0.790  0.432  0.500
In  0.925  0.149  0.500
Pt  0.027  0.304  0.500
Pt  0.473  0.804  0.500
Pt  0.527  0.196  0.500
Pt  0.973  0.696  0.500

Record 5
This record from Materials Project describes a relaxed structure of DyInRh2. The functional is r²SCAN.

Properties
For the formation energy, the calculation gives -81.2 kJ per mole of atoms.

Lattice parameters (Å, degrees): 4.661 4.661 4.661 60.00 60.00 60.00
Fractional positions:
Dy  0.000  0.000  0.000
In  0.500  0.500  0.500
Rh  0.250  0.250  0.250
Rh  0.750  0.750  0.750

Record 6
This record from Materials Project describes a relaxed structure of DyIn5Rh. The functional is r²SCAN.

Properties
For the formation energy, the calculation gives -51.7 kJ per mole of atoms.

Lattice parameters (Å, degrees): 4.633 4.633 7.425 90.00 90.00 90.00
Fractional positions:
Dy  0.000  0.000  0.000
In  0.000  0.500  0.301
In  0.000  0.500  0.699
In  0.500  0.000  0.301
In  0.500  0.000  0.699
In  0.500  0.500  0.000
Rh  0.000  0.000  0.500

Record 7
This record from Materials Project describes a relaxed structure of Dy4InRh. The functional is r²SCAN.

Properties
For the formation energy, the calculation gives -62.0 kJ per mole of atoms.

Lattice parameters (Å, degrees): 9.612 9.612 9.612 60.00 60.00 60.00
Fractional positions:
Dy  0.048  0.651  0.651
Dy  0.061  0.061  0.439
Dy  0.061  0.439  0.061
Dy  0.061  0.439  0.439
Dy  0.189  0.189  0.811
Dy  0.189  0.811  0.189
Dy  0.189  0.811  0.811
Dy  0.439  0.061  0.061
Dy  0.439  0.061  0.439
Dy  0.439  0.439  0.061
Dy  0.651  0.048  0.651
Dy  0.651  0.651  0.048
Dy  0.651  0.651  0.651
Dy  0.811  0.189  0.189
Dy  0.811  0.189  0.811
Dy  0.811  0.811  0.189
In  0.417  0.417  0.417
In  0.417  0.417  0.749
In  0.417  0.749  0.417
In  0.749  0.417  0.417
Rh  0.427  0.858  0.858
Rh  0.858  0.427  0.858
Rh  0.858  0.858  0.427
Rh  0.858  0.858  0.858

Record 8
This record from Materials Project describes a relaxed structure of Dy3InS6. The functional is r²SCAN.

Properties
For the formation energy, the calculation gives -190.1 kJ per mole of atoms.

Lattice parameters (Å, degrees): 13.471 16.451 3.837 90.00 90.00 90.00
Fractional positions:
Dy  0.038  0.224  0.251
Dy  0.190  0.646  0.250
Dy  0.249  0.893  0.753
Dy  0.251  0.393  0.247
Dy  0.310  0.146  0.750
Dy  0.462  0.724  0.749
Dy  0.538  0.276  0.749
Dy  0.690  0.854  0.750
Dy  0.749  0.607  0.247
Dy  0.751  0.107  0.753
Dy  0.810  0.354  0.250
Dy  0.962  0.776  0.251
In  0.000  0.000  0.759
In  0.000  0.500  0.748
In  0.500  0.000  0.252
In  0.500  0.500  0.241
S  0.020  0.395  0.249
S  0.097  0.913  0.254
S  0.111  0.118  0.752
S  0.113  0.746  0.751
S  0.181  0.287  0.748
S  0.192  0.521  0.749
S  0.308  0.021  0.251
S  0.319  0.787  0.252
S  0.387  0.246  0.249
S  0.389  0.618  0.248
S  0.403  0.413  0.746
S  0.480  0.895  0.751
S  0.520  0.105  0.751
S  0.597  0.587  0.746
S  0.611  0.382  0.248
S  0.613  0.754  0.249
S  0.681  0.213  0.252
S  0.692  0.979  0.251
S  0.808  0.479  0.749
S  0.819  0.713  0.748
S  0.887  0.254  0.751
S  0.889  0.882  0.752
S  0.903  0.087  0.254
S  0.980  0.605  0.249

Record 9
This record from Materials Project describes a relaxed structure of SmDyIn2. The functional is r²SCAN.

Properties
For the formation energy, the calculation gives -58.5 kJ per mole of atoms.

Lattice parameters (Å, degrees): 5.343 5.343 5.343 60.00 60.00 60.00
Fractional positions:
Sm  0.000  0.000  0.000
Dy  0.500  0.500  0.500
In  0.250  0.250  0.250
In  0.750  0.750  0.750

Record 10
This record from Materials Project describes a relaxed structure of Dy2TlIn. The functional is r²SCAN.

Properties
For the formation energy, the calculation gives -50.0 kJ per mole of atoms.

Lattice parameters (Å, degrees): 5.315 5.315 5.315 60.00 60.00 60.00
Fractional positions:
Dy  0.250  0.250  0.250
Dy  0.750  0.750  0.750
Tl  0.000  0.000  0.000
In  0.500  0.500  0.500

Record 11
This record from Materials Project describes a relaxed structure of DyYIn2. The functional is r²SCAN.

Properties
For the formation energy, the calculation gives -57.6 kJ per mole of atoms.

Lattice parameters (Å, degrees): 5.301 5.301 5.301 60.00 60.00 60.00
Fractional positions:
Dy  0.000  0.000  0.000
Y  0.500  0.500  0.500
In  0.250  0.250  0.250
In  0.750  0.750  0.750

Record 12
This record from Materials Project describes a relaxed structure of DyZnIn. The functional is r²SCAN.

Properties
For the formation energy, the calculation gives -52.0 kJ per mole of atoms.

Lattice parameters (Å, degrees): 4.612 4.612 7.294 90.00 90.00 120.00
Fractional positions:
Dy  0.000  0.000  0.000
Dy  0.000  0.000  0.500
Zn  0.333  0.667  0.250
Zn  0.667  0.333  0.750
In  0.333  0.667  0.750
In  0.667  0.333  0.250

Record 13
This record from Materials Project describes a relaxed structure of Dy5Ir3. The functional is r²SCAN.

Properties
For the formation energy, the calculation gives -88.8 kJ per mole of atoms.

Lattice parameters (Å, degrees): 10.826 10.826 6.354 90.00 90.00 90.00
Fractional positions:
Dy  0.042  0.162  0.117
Dy  0.042  0.338  0.617
Dy  0.162  0.042  0.617
Dy  0.162  0.458  0.117
Dy  0.250  0.750  0.000
Dy  0.250  0.750  0.500
Dy  0.338  0.042  0.117
Dy  0.338  0.458  0.617
Dy  0.458  0.162  0.617
Dy  0.458  0.338  0.117
Dy  0.542  0.662  0.883
Dy  0.542  0.838  0.383
Dy  0.662  0.542  0.383
Dy  0.662  0.958  0.883
Dy  0.750  0.250  0.000
Dy  0.750  0.250  0.500
Dy  0.838  0.542  0.883
Dy  0.838  0.958  0.383
Dy  0.958  0.662  0.383
Dy  0.958  0.838  0.883
Ir  0.097  0.597  0.750
Ir  0.097  0.903  0.250
Ir  0.250  0.250  0.371
Ir  0.250  0.250  0.871
Ir  0.403  0.597  0.250
Ir  0.403  0.903  0.750
Ir  0.597  0.097  0.250
Ir  0.597  0.403  0.750
Ir  0.750  0.750  0.129
Ir  0.750  0.750  0.629
Ir  0.903  0.097  0.750
Ir  0.903  0.403  0.250

Record 14
This record from Materials Project describes a relaxed structure of DyIr2. The functional is r²SCAN.

Properties
For the formation energy, the calculation gives -89.0 kJ per mole of atoms.

Lattice parameters (Å, degrees): 5.328 5.328 5.328 60.00 60.00 60.00
Fractional positions:
Dy  0.125  0.125  0.125
Dy  0.875  0.875  0.875
Ir  0.000  0.500  0.500
Ir  0.500  0.000  0.500
Ir  0.500  0.500  0.000
Ir  0.500  0.500  0.500

Record 15
This record from Materials Project describes a relaxed structure of Dy3Ir2. The functional is r²SCAN.

Properties
For the formation energy, the calculation gives -88.0 kJ per mole of atoms.

Lattice parameters (Å, degrees): 14.815 14.815 14.815 135.70 135.70 64.45
Fractional positions:
Dy  0.003  0.724  0.870
Dy  0.017  0.726  0.131
Dy  0.096  0.226  0.710
Dy  0.113  0.613  0.500
Dy  0.114  0.983  0.710
Dy  0.133  0.003  0.279
Dy  0.146  0.867  0.870
Dy  0.151  0.349  0.500
Dy  0.224  0.503  0.870
Dy  0.226  0.517  0.131
Dy  0.250  0.750  0.500
Dy  0.274  0.404  0.290
Dy  0.276  0.146  0.279
Dy  0.349  0.849  0.199
Dy  0.354  0.224  0.721
Dy  0.367  0.646  0.870
Dy  0.386  0.096  0.869
Dy  0.387  0.887  0.500
Dy  0.404  0.114  0.131
Dy  0.483  0.614  0.710
Dy  0.497  0.367  0.721
Dy  0.503  0.633  0.279
Dy  0.517  0.386  0.290
Dy  0.596  0.886  0.869
Dy  0.613  0.113  0.500
Dy  0.614  0.904  0.131
Dy  0.633  0.354  0.130
Dy  0.646  0.776  0.279
Dy  0.651  0.151  0.801
Dy  0.724  0.854  0.721
Dy  0.726  0.596  0.710
Dy  0.750  0.250  0.500
Dy  0.774  0.483  0.869
Dy  0.776  0.497  0.130
Dy  0.849  0.651  0.500
Dy  0.854  0.133  0.130
Dy  0.867  0.997  0.721
Dy  0.886  0.017  0.290
Dy  0.887  0.387  0.500
Dy  0.904  0.774  0.290
Dy  0.983  0.274  0.869
Dy  0.997  0.276  0.130
Ir  0.000  0.000  0.000
Ir  0.035  0.535  0.193
Ir  0.073  0.214  0.500
Ir  0.096  0.596  0.693
Ir  0.133  0.133  0.000
Ir  0.158  0.965  0.500
Ir  0.214  0.714  0.141
Ir  0.250  0.250  0.000
Ir  0.286  0.427  0.500
Ir  0.342  0.842  0.807
Ir  0.367  0.367  0.000
Ir  0.404  0.096  0.500
Ir  0.427  0.927  0.141
Ir  0.465  0.658  0.500
Ir  0.500  0.500  0.000
Ir  0.535  0.342  0.500
Ir  0.573  0.073  0.859
Ir  0.596  0.904  0.500
Ir  0.633  0.633  0.000
Ir  0.658  0.158  0.193
Ir  0.714  0.573  0.500
Ir  0.750  0.750  0.000
Ir  0.786  0.286  0.859
Ir  0.842  0.035  0.500
Ir  0.867  0.867  0.000
Ir  0.904  0.404  0.307
Ir  0.927  0.786  0.500
Ir  0.965  0.465  0.807

Record 16
This record from Materials Project describes a relaxed structure of Dy3Ir. The functional is r²SCAN.

Properties
For the formation energy, the calculation gives -63.8 kJ per mole of atoms.

Lattice parameters (Å, degrees): 7.195 9.211 6.412 90.00 90.00 90.00
Fractional positions:
Dy  0.037  0.250  0.130
Dy  0.175  0.064  0.678
Dy  0.175  0.436  0.678
Dy  0.325  0.564  0.178
Dy  0.325  0.936  0.178
Dy  0.463  0.750  0.630
Dy  0.537  0.250  0.370
Dy  0.675  0.064  0.822
Dy  0.675  0.436  0.822
Dy  0.825  0.564  0.322
Dy  0.825  0.936  0.322
Dy  0.963  0.750  0.870
Ir  0.115  0.750  0.460
Ir  0.385  0.250  0.960
Ir  0.615  0.750  0.040
Ir  0.885  0.250  0.540